Here is a geometry-optimized Sm2MgTi3Bi2O12 structure from the Materials Project. Energies are from GGA-PBE.

```
20
Lattice="2.758 -2.757 0.000 2.758 2.757 0.000 -2.721 0.000 18.169" Properties=species:S:1:pos:R:3 pbc="T T T"
Sm 0.015 0.000 3.126
Sm 2.779 0.000 15.043
Mg 0.000 0.000 0.000
Ti 0.023 0.000 13.193
Ti 2.758 0.000 0.000
Ti 2.771 0.000 4.976
Bi 0.018 0.000 7.847
Bi 2.776 0.000 10.322
O 1.379 1.379 0.000
O 1.392 1.379 4.412
O 1.397 1.379 9.084
O 0.022 0.000 11.441
O 1.402 1.379 13.757
O 0.035 0.000 16.099
O 1.379 -1.379 0.000
O 2.759 0.000 2.070
O 1.392 -1.379 4.412
O 2.772 0.000 6.728
O 1.397 -1.379 9.084
O 1.402 -1.379 13.757
```

magnetization: 0.028 μB per formula unit
ΔE_f: -2818 meV per atom
mass density: 6.48 Mg/m³
space group: C2/m, No. 12